Record 1
Here is an optimized crystal structure of CaLa9Ti5Cr5O30 from the Materials Project. Energies are from GGA+U.

Unit cell a=5.570 b=9.698 c=12.452 alpha=75.61 beta=77.95 gamma=73.77
Fractional coordinates of all 50 atoms:
O 0.537 0.263 0.224
O 0.654 0.134 0.979
O 0.689 0.185 0.439
O 0.661 0.422 0.835
O 0.048 0.226 0.235
O 0.285 0.391 0.038
O 0.945 0.780 0.763
O 0.860 0.817 0.037
O 0.713 0.606 0.965
O 0.263 0.339 0.578
O 0.313 0.812 0.563
O 0.141 0.180 0.964
O 0.348 0.864 0.023
O 0.860 0.534 0.180
O 0.487 0.790 0.237
O 0.062 0.935 0.374
O 0.456 0.738 0.776
O 0.940 0.063 0.623
O 0.343 0.575 0.164
O 0.116 0.407 0.363
O 0.450 0.025 0.639
O 0.886 0.595 0.634
O 0.746 0.378 0.564
O 0.255 0.623 0.436
O 0.087 0.991 0.835
O 0.740 0.663 0.422
O 0.141 0.467 0.821
O 0.547 0.976 0.364
O 0.912 0.008 0.165
O 0.514 0.210 0.763
Cr 0.601 0.698 0.100
Cr 0.400 0.300 0.900
Cr 0.998 0.000 0.001
Cr 0.800 0.601 0.799
Cr 0.001 0.499 0.500
La 0.200 0.650 0.949
La 0.999 0.750 0.247
La 0.398 0.049 0.147
La 0.601 0.450 0.352
La 0.003 0.251 0.751
La 0.601 0.951 0.854
La 0.800 0.850 0.550
La 0.800 0.350 0.046
La 0.400 0.547 0.653
Ca 0.200 0.153 0.451
Ti 0.397 0.804 0.401
Ti 0.201 0.396 0.202
Ti 0.201 0.903 0.698
Ti 0.796 0.100 0.302
Ti 0.605 0.198 0.598

## Properties
**Space-group type**: No. 1

---

Record 2
Here is an optimized crystal structure of CaLa2Ti2Cr2O12 from the Materials Project. Energies are from GGA+U.

Unit cell a=5.448 b=5.468 c=7.714 alpha=89.69 beta=89.96 gamma=89.10
Fractional coordinates of all 19 atoms:
La 0.495 0.479 0.249
La 0.993 0.028 0.751
O 0.285 0.714 0.019
O 0.440 0.993 0.748
O 0.285 0.716 0.480
O 0.722 0.280 0.965
O 0.719 0.281 0.534
O 0.947 0.511 0.248
O 0.774 0.768 0.960
O 0.551 0.002 0.251
O 0.061 0.489 0.752
O 0.232 0.227 0.474
O 0.768 0.774 0.540
O 0.227 0.231 0.025
Ca 0.503 0.533 0.751
Ti 0.999 0.512 0.493
Ti 0.495 0.998 0.011
Cr 0.999 0.503 0.002
Cr 0.494 0.004 0.497

## Properties
**Space-group type**: No. 1

---

Record 3
Here is an optimized crystal structure of NaCaMgCrSi4O12 from the Materials Project. Energies are from GGA+U.

Unit cell a=7.148 b=7.148 c=15.909 alpha=78.02 beta=78.02 gamma=82.04
Fractional coordinates of all 60 atoms:
O 0.838 0.359 0.567
O 0.576 0.441 0.149
O 0.495 0.809 0.461
O 0.502 0.033 0.901
O 0.150 0.637 0.932
O 0.030 0.516 0.401
O 0.484 0.970 0.599
O 0.885 0.741 0.526
O 0.808 0.474 0.964
O 0.559 0.424 0.851
O 0.683 0.173 0.734
O 0.437 0.586 0.643
O 0.259 0.115 0.474
O 0.526 0.192 0.036
O 0.846 0.189 0.870
O 0.811 0.154 0.130
O 0.298 0.814 0.765
O 0.240 0.093 0.188
O 0.071 0.206 0.687
O 0.535 0.863 0.200
O 0.137 0.465 0.800
O 0.186 0.702 0.235
O 0.907 0.760 0.812
O 0.844 0.513 0.706
O 0.756 0.903 0.015
O 0.827 0.317 0.266
O 0.131 0.824 0.628
O 0.176 0.869 0.372
O 0.414 0.563 0.357
O 0.191 0.505 0.539
O 0.967 0.498 0.099
O 0.641 0.162 0.433
O 0.794 0.929 0.313
O 0.097 0.244 0.985
O 0.487 0.156 0.294
O 0.363 0.850 0.068
Si 0.983 0.530 0.509
Si 0.797 0.366 0.161
Si 0.470 0.017 0.491
Si 0.695 0.139 0.326
Si 0.634 0.203 0.839
Si 0.534 0.981 0.006
Si 0.129 0.678 0.825
Si 0.861 0.305 0.674
Si 0.322 0.871 0.175
Si 0.019 0.466 0.994
Si 0.200 0.661 0.343
Si 0.339 0.800 0.657
Mg 0.540 0.815 0.330
Mg 0.185 0.460 0.670
Mg 0.149 0.851 0.500
Na 0.880 0.818 0.160
Na 0.468 0.532 0.000
Na 0.182 0.120 0.840
Ca 0.806 0.837 0.668
Ca 0.163 0.194 0.332
Ca 0.515 0.485 0.500
Cr 0.516 0.162 0.166
Cr 0.838 0.484 0.834
Cr 0.825 0.175 0.000

## Properties
**Space-group type**: No. 5

---

Record 4
Here is an optimized crystal structure of NaCaMgCrSi4O12 from the Materials Project. Energies are from GGA+U.

Unit cell a=6.633 b=6.633 c=16.033 alpha=77.62 beta=77.62 gamma=84.60
Fractional coordinates of all 60 atoms:
O 0.975 0.800 0.793
O 0.637 0.664 0.918
O 0.894 0.384 0.518
O 0.630 0.667 0.249
O 0.336 0.363 0.082
O 0.659 0.643 0.752
O 0.612 0.102 0.813
O 0.107 0.617 0.648
O 0.806 0.967 0.629
O 0.112 0.616 0.313
O 0.972 0.799 0.131
O 0.201 0.028 0.869
O 0.387 0.891 0.023
O 0.338 0.361 0.416
O 0.033 0.194 0.371
O 0.616 0.106 0.482
O 0.806 0.961 0.300
O 0.109 0.613 0.977
O 0.639 0.662 0.584
O 0.357 0.341 0.248
O 0.663 0.634 0.084
O 0.200 0.025 0.207
O 0.892 0.389 0.855
O 0.039 0.194 0.700
O 0.660 0.635 0.418
O 0.383 0.893 0.352
O 0.384 0.888 0.687
O 0.898 0.388 0.187
O 0.195 0.035 0.537
O 0.799 0.973 0.964
O 0.027 0.201 0.036
O 0.965 0.805 0.463
O 0.366 0.337 0.916
O 0.611 0.108 0.145
O 0.365 0.340 0.582
O 0.333 0.370 0.751
Na 0.700 0.299 0.668
Na 0.701 0.300 0.332
Na 0.301 0.699 0.500
Si 0.799 0.617 0.493
Si 0.193 0.379 0.006
Si 0.805 0.621 0.826
Si 0.618 0.801 0.328
Si 0.379 0.195 0.174
Si 0.199 0.380 0.341
Si 0.382 0.193 0.838
Si 0.383 0.201 0.507
Si 0.621 0.807 0.994
Si 0.199 0.382 0.672
Si 0.620 0.801 0.659
Si 0.807 0.618 0.162
Mg 0.903 0.094 0.168
Mg 0.090 0.910 0.000
Mg 0.906 0.097 0.832
Cr 0.094 0.909 0.665
Cr 0.904 0.096 0.500
Cr 0.091 0.906 0.335
Ca 0.703 0.297 0.000
Ca 0.299 0.701 0.165
Ca 0.299 0.701 0.835

## Properties
**Space-group type**: No. 5

---

Record 5
Here is an optimized crystal structure of Na3CaMgCr3Si8O24 from the Materials Project. Energies are from GGA+U.

Unit cell a=8.881 b=5.330 c=9.638 alpha=75.27 beta=90.00 gamma=90.00
Fractional coordinates of all 40 atoms:
Ca 0.202 0.000 0.500
O 0.743 0.197 0.361
O 0.078 0.227 0.887
O 0.757 0.805 0.139
O 0.584 0.733 0.385
O 0.757 0.195 0.861
O 0.920 0.274 0.114
O 0.989 0.905 0.351
O 0.252 0.702 0.361
O 0.512 0.098 0.146
O 0.013 0.601 0.649
O 0.252 0.298 0.639
O 0.417 0.783 0.616
O 0.489 0.403 0.850
O 0.417 0.217 0.384
O 0.489 0.597 0.150
O 0.584 0.267 0.615
O 0.244 0.695 0.859
O 0.013 0.399 0.351
O 0.512 0.902 0.854
O 0.078 0.773 0.113
O 0.920 0.726 0.886
O 0.244 0.305 0.141
O 0.743 0.803 0.639
O 0.989 0.095 0.649
Si 0.906 0.808 0.710
Si 0.592 0.811 0.210
Si 0.411 0.308 0.208
Si 0.411 0.692 0.792
Si 0.906 0.192 0.290
Si 0.592 0.189 0.790
Si 0.090 0.691 0.289
Si 0.090 0.309 0.711
Na 0.303 0.000 0.000
Na 0.798 0.500 0.500
Na 0.697 0.500 0.000
Cr 0.593 0.000 0.500
Cr 0.095 0.500 0.000
Cr 0.903 0.000 0.000
Mg 0.412 0.500 0.500

## Properties
**Space-group type**: No. 3

---

Record 6
Here is an optimized crystal structure of NaCaMgCrSi4O12 from the Materials Project. Energies are from GGA+U.

Unit cell a=6.631 b=6.631 c=10.671 alpha=77.68 beta=77.68 gamma=84.73
Fractional coordinates of all 40 atoms:
Ca 0.302 0.698 0.125
Ca 0.302 0.698 0.625
O 0.895 0.385 0.154
O 0.664 0.640 0.501
O 0.895 0.385 0.654
O 0.630 0.663 0.250
O 0.615 0.105 0.596
O 0.630 0.662 0.750
O 0.360 0.336 0.249
O 0.803 0.969 0.315
O 0.386 0.887 0.908
O 0.031 0.197 0.935
O 0.113 0.614 0.342
O 0.615 0.105 0.096
O 0.803 0.969 0.815
O 0.360 0.336 0.749
O 0.113 0.614 0.842
O 0.386 0.887 0.408
O 0.337 0.370 0.500
O 0.031 0.197 0.435
O 0.967 0.802 0.075
O 0.198 0.033 0.675
O 0.664 0.640 0.001
O 0.967 0.802 0.575
O 0.337 0.370 0.000
O 0.198 0.033 0.175
Si 0.802 0.618 0.617
Si 0.382 0.198 0.633
Si 0.802 0.618 0.117
Si 0.196 0.380 0.886
Si 0.620 0.804 0.864
Si 0.620 0.804 0.364
Si 0.382 0.198 0.133
Si 0.196 0.380 0.386
Mg 0.092 0.908 0.375
Mg 0.092 0.908 0.875
Na 0.701 0.299 0.875
Na 0.701 0.299 0.375
Cr 0.905 0.095 0.125
Cr 0.906 0.094 0.625

---

Record 7
Here is an optimized crystal structure of Ca6Nd6Mn11CrO36 from the Materials Project. Energies are from GGA+U.

Unit cell a=5.460 b=5.523 c=23.406 alpha=90.33 beta=89.90 gamma=90.11
Fractional coordinates of all 60 atoms:
O 0.700 0.281 0.652
O 0.717 0.283 0.180
O 0.286 0.712 0.017
O 0.920 0.528 0.414
O 0.281 0.722 0.820
O 0.081 0.477 0.920
O 0.707 0.296 0.845
O 0.212 0.211 0.014
O 0.222 0.220 0.820
O 0.775 0.803 0.653
O 0.794 0.790 0.990
O 0.935 0.510 0.749
O 0.580 0.023 0.413
O 0.293 0.704 0.488
O 0.217 0.217 0.154
O 0.068 0.480 0.249
O 0.293 0.710 0.344
O 0.778 0.780 0.513
O 0.786 0.788 0.317
O 0.569 0.020 0.085
O 0.207 0.203 0.488
O 0.922 0.511 0.085
O 0.301 0.718 0.681
O 0.213 0.216 0.346
O 0.427 0.987 0.587
O 0.712 0.290 0.319
O 0.421 0.971 0.921
O 0.573 0.014 0.746
O 0.065 0.490 0.584
O 0.713 0.284 0.988
O 0.226 0.197 0.680
O 0.789 0.788 0.180
O 0.421 0.989 0.249
O 0.718 0.279 0.513
O 0.289 0.711 0.153
O 0.794 0.797 0.845
Mn 0.500 0.999 0.494
Mn 0.000 0.502 0.839
Mn 0.002 0.496 0.001
Mn 0.500 0.003 0.167
Mn 0.499 0.998 0.001
Mn 0.500 0.001 0.840
Mn 0.000 0.499 0.494
Mn 0.000 0.497 0.167
Mn 0.999 0.502 0.333
Mn 0.502 0.004 0.333
Mn 0.000 0.500 0.666
Ca 0.991 0.045 0.251
Ca 0.491 0.455 0.083
Ca 0.510 0.539 0.923
Ca 0.491 0.459 0.412
Ca 0.009 0.961 0.410
Ca 0.991 0.041 0.922
Nd 0.007 0.959 0.084
Nd 0.495 0.461 0.754
Nd 0.010 0.960 0.754
Nd 0.507 0.541 0.249
Nd 0.505 0.539 0.579
Nd 0.991 0.040 0.579
Cr 0.500 0.000 0.667

## Properties
**Space-group type**: No. 1

---

Number 1: ΔH_f (0 K) -3.40 eV per atom. Number 2: ΔH_f (0 K) -3.15 eV per atom. Number 3: ΔH_f (0 K) -2.91 eV per atom. Number 4: ΔH_f (0 K) -3.12 eV per atom. Number 5: ΔH_f (0 K) -3.01 eV per atom. Number 6: ΔH_f (0 K) -3.12 eV per atom. Number 7: ΔH_f (0 K) -2.74 eV per atom.